1.
Rb2NaMoI6 | GGA-PBE | relaxed

Structure (extended XYZ):
```
10
Lattice="6.484 -3.536 4.109 -0.658 -1.722 8.248 -0.522 -8.020 2.614" Properties=species:S:1:pos:R:3 pbc="T T T"
Rb 3.978 -9.958 11.229
Rb 1.326 -3.319 3.743
Na 2.652 -6.639 7.486
Mo 0.000 0.000 0.000
I 4.677 -4.999 5.701
I 0.975 -7.369 4.911
I 0.627 -8.279 9.270
I 0.903 -4.040 7.889
I 4.401 -9.237 7.083
I 4.329 -5.909 10.060
```

Computed properties:
raw total energy: -3.21 eV/atom

***

2.
CsHg | GGA-PBE | relaxed

Structure (extended XYZ):
```
8
Lattice="-7.102 0.192 2.277 -0.032 -7.699 -0.771 4.180 1.655 6.464" Properties=species:S:1:pos:R:3 pbc="T T T"
Cs -1.653 -6.353 0.290
Cs -1.301 0.501 7.680
Cs -4.284 -4.709 3.655
Cs 1.330 -1.143 4.316
Hg -1.332 -2.637 1.804
Hg -1.621 -3.215 6.166
Hg -2.629 -1.057 4.126
Hg -0.325 -4.795 3.844
```

Computed properties:
raw total energy: -0.82 eV/atom

***

3.
Cu3P4Se4Br3 | GGA-PBE | relaxed

Structure (extended XYZ):
```
168
Lattice="6.507 0.000 0.000 0.000 19.288 0.000 0.000 0.076 34.061" Properties=species:S:1:pos:R:3 pbc="T T T"
Cu 4.809 2.399 2.391
Cu 6.280 2.432 25.048
Cu 1.775 13.086 22.010
Cu 1.555 16.965 31.670
Cu 1.528 13.492 29.238
Cu 4.874 16.016 18.127
Cu 4.896 15.540 33.576
Cu 5.012 12.113 19.822
Cu 1.625 13.486 17.893
Cu 3.026 16.932 9.013
Cu 1.758 7.251 14.239
Cu 4.758 15.973 29.441
Cu 3.060 13.090 10.647
Cu 6.193 5.937 27.560
Cu 5.057 15.460 22.220
Cu 4.879 5.878 16.168
Cu 3.055 3.927 23.176
Cu 3.041 7.244 25.587
Cu 4.855 12.134 31.218
Cu 1.504 3.391 4.620
Cu 5.029 6.278 12.051
Cu 1.620 3.348 15.934
Cu 2.939 13.427 6.501
Cu 1.620 13.167 33.370
Cu 4.874 6.197 0.691
Cu 4.782 5.872 4.823
Cu 6.295 12.120 8.474
Cu 1.804 3.903 11.842
Cu 6.196 16.038 6.748
Cu 6.309 15.437 10.885
Cu 2.943 3.326 27.313
Cu 1.642 3.824 0.485
Cu 1.602 7.230 2.843
Cu 6.314 6.273 23.414
Cu 1.715 16.944 20.366
Cu 4.969 2.420 13.695
P 2.360 19.047 20.226
P 0.695 10.792 2.187
P 5.464 0.299 2.475
P 2.410 9.354 14.296
P 5.241 16.971 16.180
P 2.278 9.325 2.844
P 2.637 12.011 12.524
P 5.653 16.920 4.817
P 5.943 16.622 12.709
P 0.942 10.562 24.727
P 5.848 0.277 25.185
P 2.397 12.395 4.647
P 2.392 12.058 23.859
P 4.166 18.176 24.522
P 1.990 12.424 16.005
P 0.686 1.396 31.984
P 2.268 12.009 1.117
P 2.672 9.413 25.642
P 3.949 8.572 31.874
P 1.952 12.443 27.355
P 0.925 10.716 13.284
P 2.400 2.444 29.244
P 5.531 10.039 31.217
P 5.176 16.928 27.504
P 5.645 7.306 10.202
P 1.922 2.436 6.557
P 4.178 8.648 20.777
P 2.689 2.742 21.352
P 2.211 19.065 31.586
P 5.684 16.589 24.013
P 5.925 9.951 8.419
P 2.312 2.731 32.796
P 4.195 8.802 9.334
P 5.206 6.921 6.707
P 3.940 17.967 2.077
P 5.651 6.969 29.414
P 0.913 1.188 9.540
P 2.431 2.775 10.049
P 4.190 18.004 13.124
P 1.987 2.393 17.881
P 5.522 7.355 32.945
P 5.614 0.317 13.835
P 0.936 1.360 20.938
P 5.890 7.353 21.537
P 2.594 19.087 8.877
P 5.244 6.940 18.056
P 5.566 16.633 1.265
P 5.664 10.010 19.765
Se 3.510 0.802 33.209
Se 0.275 9.296 33.011
Se 3.958 10.358 23.977
Se 6.171 15.529 25.999
Se 3.529 10.068 1.050
Se 2.863 13.531 25.554
Se 0.256 18.562 0.852
Se 3.105 10.486 27.626
Se 3.264 17.252 15.000
Se 3.205 10.263 4.735
Se 6.466 1.921 7.673
Se 0.010 2.112 19.061
Se 6.459 9.101 29.326
Se 3.244 7.709 7.652
Se 6.326 5.923 19.803
Se 3.187 13.365 2.734
Se 3.934 10.111 12.738
Se 2.918 3.835 8.062
Se 3.930 1.035 10.302
Se 0.680 9.253 21.324
Se 3.133 3.739 19.332
Se 3.945 0.817 21.539
Se 3.259 7.519 19.102
Se 3.454 17.118 4.074
Se 3.453 7.404 30.052
Se 2.939 10.369 16.295
Se 2.857 0.280 18.051
Se 6.192 8.995 17.766
Se 0.005 11.845 14.959
Se 6.384 19.060 4.513
Se 6.116 5.833 8.507
Se 6.498 11.655 26.410
Se 0.200 2.246 29.988
Se 3.130 0.304 29.548
Se 0.692 18.547 12.522
Se 6.358 8.878 6.435
Se 6.440 5.999 31.327
Se 6.387 15.625 14.729
Se 3.212 17.443 26.388
Se 3.072 13.441 14.258
Se 0.677 18.329 23.759
Se 0.704 9.006 10.084
Se 6.255 18.947 27.351
Se 0.199 11.960 4.009
Se 6.111 19.084 16.011
Se 3.255 3.721 30.938
Se 3.001 0.416 6.710
Se 0.001 15.643 3.123
Br 2.329 15.568 33.573
Br 5.467 3.516 4.551
Br 5.653 3.873 23.155
Br 5.599 16.945 8.979
Br 5.518 16.948 31.584
Br 2.398 6.288 23.369
Br 2.214 15.759 6.942
Br 2.264 2.416 2.478
Br 2.475 6.273 12.043
Br 2.415 2.425 13.781
Br 5.574 13.168 33.393
Br 2.214 15.848 29.510
Br 5.467 3.605 27.119
Br 2.332 15.829 18.191
Br 2.443 12.107 19.834
Br 5.586 3.535 15.871
Br 5.469 13.629 6.714
Br 2.296 12.136 31.209
Br 5.587 13.610 17.954
Br 5.583 3.795 0.488
Br 5.697 7.257 14.227
Br 2.399 15.491 10.907
Br 2.488 15.497 22.225
Br 2.369 12.055 8.520
Br 5.728 13.090 22.019
Br 5.669 16.939 20.281
Br 5.741 3.867 11.836
Br 5.651 13.076 10.692
Br 5.623 7.309 25.542
Br 2.333 5.754 16.108
Br 2.229 5.793 4.753
Br 2.320 6.196 0.668
Br 5.482 13.571 29.308
Br 2.215 5.735 27.347
Br 5.550 7.228 2.852
Br 2.345 2.419 25.082
```

Computed properties:
raw total energy: -3.99 eV/atom

***

Number 1: energy relative to the elements -107.2 kJ per mole of atoms. Number 2: energy relative to the elements -20.9 kJ per mole of atoms. Number 3: energy relative to the elements -31.8 kJ per mole of atoms.